Entry 1:
Computed, not measured: a relaxed structure of Na3HfZnP3O12 at the PBE level of DFT.

Values from the calculation:
DFT total energy ... -6.926 eV/atom
Size of the total moment ... 0.0 Bohr magnetons per cell
Energy relative to the elements ... -2.798 eV per atom

Cell: 15.6547 9.0569 8.9143 Å, 90.00 124.81 90.00°
With the nearest neighbours (Å) after each atom.
Fractional coordinates of all 80 atoms:
1 O 0.6477 0.1540 0.4123  1 P 1.52
2 O 0.3510 0.1419 0.0874  1 P 1.58
3 O 0.5682 0.5391 0.9367  1 P 1.53
4 O 0.8471 0.5748 0.7560  1 P 1.59
5 O 0.3471 0.9252 0.2560  1 P 1.59
6 O 0.0757 0.8461 0.7469  1 P 1.54
7 O 0.5757 0.6539 0.2469  1 P 1.54
8 O 0.5424 0.1664 0.0685  1 P 1.58
9 O 0.1477 0.3460 0.9123  1 P 1.52
10 O 0.7565 0.3430 0.7495  1 P 1.53
11 O 0.8471 0.4252 0.2560  1 P 1.59
12 O 0.2565 0.8430 0.7495  1 P 1.53
13 O 0.0682 0.0391 0.9367  1 P 1.53
14 O 0.7565 0.6570 0.2495  1 P 1.53
15 O 0.2372 0.6841 0.2519  1 P 1.58
16 O 0.9425 0.0583 0.5932  1 P 1.57
17 O 0.8510 0.6419 0.0874  1 P 1.58
18 O 0.9178 0.1477 0.2533  1 P 1.57
19 O 0.7372 0.8159 0.7519  1 P 1.58
20 O 0.9425 0.9417 0.0932  1 P 1.57
21 O 0.1477 0.6540 0.4123  1 P 1.52
22 O 0.3471 0.0748 0.7560  1 P 1.59
23 O 0.4425 0.5583 0.5932  1 P 1.57
24 O 0.5757 0.3461 0.7469  1 P 1.54
25 O 0.2565 0.1570 0.2495  1 P 1.53
26 O 0.7372 0.1841 0.2519  1 P 1.58
27 O 0.0682 0.9609 0.4367  1 P 1.53
28 O 0.6525 0.9380 0.2397  1 P 1.53
29 O 0.1525 0.5620 0.7397  1 P 1.53
30 O 0.9535 0.6514 0.4344  1 P 1.53
31 O 0.4535 0.8486 0.9344  1 P 1.53
32 O 0.4178 0.3523 0.7533  1 P 1.57
33 O 0.6477 0.8460 0.9123  1 P 1.52
34 O 0.8510 0.3581 0.5874  1 P 1.58
35 O 0.6525 0.0620 0.7397  1 P 1.53
36 O 0.4178 0.6477 0.2533  1 P 1.57
37 O 0.1525 0.4380 0.2397  1 P 1.53
38 O 0.3510 0.8581 0.5874  1 P 1.58
39 O 0.0757 0.1539 0.2469  1 P 1.54
40 O 0.5682 0.4609 0.4367  1 P 1.53
41 O 0.4425 0.4417 0.0932  1 P 1.57
42 O 0.9535 0.3486 0.9344  1 P 1.53
43 O 0.9178 0.8523 0.7533  1 P 1.57
44 O 0.0424 0.3336 0.5685  1 P 1.58
45 O 0.4535 0.1514 0.4344  1 P 1.53
46 O 0.2372 0.3159 0.7519  1 P 1.58
47 O 0.0424 0.6664 0.0685  1 P 1.58
48 O 0.5424 0.8336 0.5685  1 P 1.58
49 P 0.1456 0.6060 0.2468  4 O 1.52-1.58
50 P 0.6456 0.8940 0.7468  4 O 1.52-1.58
51 P 0.0024 0.0496 0.2603  4 O 1.53-1.57
52 P 0.5024 0.4504 0.7603  4 O 1.53-1.57
53 P 0.6456 0.1060 0.2468  4 O 1.52-1.58
54 P 0.8520 0.6003 0.2609  4 O 1.53-1.59
55 P 0.1456 0.3940 0.7468  4 O 1.52-1.58
56 P 0.3520 0.8997 0.7609  4 O 1.53-1.59
57 P 0.5024 0.5496 0.2603  4 O 1.53-1.57
58 P 0.3520 0.1003 0.2609  4 O 1.53-1.59
59 P 0.0024 0.9504 0.7603  4 O 1.53-1.57
60 P 0.8520 0.3997 0.7609  4 O 1.53-1.59
61 Zn 0.0978 0.2495 0.0487  5 O 1.98-2.21
62 Zn 0.0978 0.7505 0.5487  5 O 1.98-2.21
63 Zn 0.5978 0.7495 0.0487  5 O 1.98-2.21
64 Zn 0.5978 0.2505 0.5487  5 O 1.98-2.21
65 Na 0.0032 0.6095 0.7458  6 O 2.41-2.63
66 Na 0.5032 0.1095 0.7458  6 O 2.41-2.63
67 Na 0.5032 0.8905 0.2458  6 O 2.41-2.63
68 Na 0.7492 0.7740 0.4783  5 O 2.31-2.58
69 Na 0.2492 0.2740 0.4783  5 O 2.31-2.58
70 Na 0.7492 0.2260 0.9783  5 O 2.31-2.58
71 Na 0.6836 0.5581 0.7889  4 O 2.38-2.57
72 Na 0.0032 0.3905 0.2458  6 O 2.41-2.63
73 Na 0.1836 0.9419 0.2889  4 O 2.38-2.57
74 Na 0.2492 0.7260 0.9783  5 O 2.31-2.58
75 Na 0.6836 0.4419 0.2889  4 O 2.38-2.57
76 Na 0.1836 0.0581 0.7889  4 O 2.38-2.57
77 Hf 0.8944 0.2425 0.4406  6 O 2.01-2.15
78 Hf 0.3944 0.2575 0.9406  6 O 2.01-2.15
79 Hf 0.3944 0.7425 0.4406  6 O 2.01-2.15
80 Hf 0.8944 0.7575 0.9406  6 O 2.01-2.15

***

Entry 2:
Computed, not measured: a relaxed structure of LiCuF4 at the PBE level of DFT.

Values from the calculation:
DFT total energy ... -4.137 eV/atom
Size of the total moment ... 0.0 Bohr magnetons per cell
Energy relative to the elements ... -2.167 eV per atom

Cell: 6.1296 6.1296 6.1296 Å, 129.45 129.45 74.28°
With the nearest neighbours (Å) after each atom.
Fractional coordinates of all 12 atoms:
1 Li 0.2500 0.2500 0.0000  8 F 2.27
2 Li 0.7500 0.7500 0.0000  8 F 2.27
3 Cu 0.0000 0.5000 0.5000  4 F 1.80
4 Cu 0.5000 0.0000 0.5000  4 F 1.80
5 F 0.0464 0.5464 0.8488  1 Cu 1.80
6 F 0.1976 0.0464 0.5000  1 Cu 1.80
7 F 0.3024 0.8024 0.8488  1 Cu 1.80
8 F 0.4536 0.3024 0.5000  1 Cu 1.80
9 F 0.5464 0.6976 0.5000  1 Cu 1.80
10 F 0.6976 0.1976 0.1512  1 Cu 1.80
11 F 0.8024 0.9536 0.5000  1 Cu 1.80
12 F 0.9536 0.4536 0.1512  1 Cu 1.80

***

Entry 3:
Computed, not measured: a relaxed structure of CsOs2O9 at the PBE level of DFT.

Values from the calculation:
DFT total energy ... -6.643 eV/atom
Energy relative to the elements ... -1.502 eV per atom

Cell: 7.9721 7.9721 11.0108 Å, 107.34 107.34 44.29°
With the nearest neighbours (Å) after each atom.
Fractional coordinates of all 24 atoms:
1 Cs 0.0040 0.9960 0.5000  12 O 3.18-3.55
2 Cs 0.9960 0.0040 0.0000  12 O 3.18-3.55
3 Os 0.3179 0.3824 0.7285  4 O 1.74
4 Os 0.3824 0.3179 0.2285  4 O 1.74
5 Os 0.6058 0.7316 0.3542  4 O 1.74-1.75
6 Os 0.7316 0.6058 0.8542  4 O 1.74-1.75
7 O 0.1929 0.6593 0.7008  1 Os 1.74
8 O 0.1972 0.6191 0.2089  1 Os 1.74
9 O 0.2324 0.2475 0.6097  1 Os 1.74
10 O 0.2475 0.2324 0.1097  1 Os 1.74
11 O 0.2973 0.9610 0.3063  1 Os 1.74
12 O 0.3515 0.3579 0.8879  1 Os 1.74
13 O 0.3579 0.3515 0.3879  1 Os 1.74
14 O 0.5053 0.7770 0.7333  1 Os 1.74
15 O 0.5822 0.5962 0.9369  1 Os 1.75
16 O 0.5962 0.5822 0.4369  1 Os 1.75
17 O 0.6191 0.1972 0.7089  1 Os 1.74
18 O 0.6317 0.9282 0.2682  2 Os 2.20-2.29, 1 O 2.42
19 O 0.6593 0.1929 0.2008  1 Os 1.74
20 O 0.7466 0.8081 0.4773  1 Os 1.75
21 O 0.7770 0.5053 0.2333  1 Os 1.74
22 O 0.8081 0.7466 0.9773  1 Os 1.75
23 O 0.9282 0.6317 0.7682  2 Os 2.20-2.29, 1 O 2.42
24 O 0.9610 0.2973 0.8063  1 Os 1.74

***

Entry 4:
Computed, not measured: a relaxed structure of Nb3Ru at the PBE level of DFT.

Values from the calculation:
DFT total energy ... -10.088 eV/atom
Energy relative to the elements ... -0.193 eV per atom

Cell: 4.5827 4.5827 4.5827 Å, 60.00 60.00 60.00°
With the nearest neighbours (Å) after each atom.
Fractional coordinates of all 4 atoms:
1 Nb 0.0000 0.0000 0.0000  8 Nb 2.81
2 Nb 0.2500 0.2500 0.2500  4 Ru 2.81, 4 Nb 2.81
3 Nb 0.7500 0.7500 0.7500  4 Ru 2.81, 4 Nb 2.81
4 Ru 0.5000 0.5000 0.5000  8 Nb 2.81

***

Entry 5:
Computed, not measured: a relaxed structure of CsHfMg14O15 at the PBE level of DFT.

Values from the calculation:
DFT total energy ... -5.878 eV/atom
Size of the total moment ... 1.0 Bohr magnetons per cell
Energy relative to the elements ... -2.744 eV per atom

Cell: 4.1299 8.3781 11.5341 Å, 90.00 90.00 90.00°
With the nearest neighbours (Å) after each atom.
Fractional coordinates of all 31 atoms:
1 Cs 0.0000 0.0000 0.0000  5 O 2.81-3.02
2 Hf 0.0000 0.5000 0.1000  4 O 1.99-2.14
3 Mg 0.0000 0.0000 0.5453  6 O 2.01-2.23
4 Mg 0.0000 0.2463 0.7348  4 O 2.06-2.09
5 Mg 0.0000 0.2467 0.3515  5 O 2.07-2.24
6 Mg 0.0000 0.5000 0.5360  5 O 2.06-2.07
7 Mg 0.0000 0.7533 0.3515  5 O 2.07-2.24
8 Mg 0.0000 0.7537 0.7348  4 O 2.06-2.09
9 Mg 0.5000 0.0000 0.3486  5 O 2.08-2.11
10 Mg 0.5000 0.0000 0.7295  5 O 2.04-2.14
11 Mg 0.5000 0.2323 0.1739  4 O 1.95-2.11
12 Mg 0.5000 0.2567 0.5500  6 O 2.04-2.28
13 Mg 0.5000 0.5000 0.3534  5 O 2.07-2.13
14 Mg 0.5000 0.5000 0.8050  2 O 2.16
15 Mg 0.5000 0.7433 0.5500  6 O 2.04-2.28
16 Mg 0.5000 0.7677 0.1739  4 O 1.95-2.11
17 O 0.0000 0.0000 0.3711  5 Mg 2.01-2.08
18 O 0.0000 0.0000 0.7384  5 Mg 2.06-2.23
19 O 0.0000 0.2543 0.5540  5 Mg 2.07-2.13
20 O 0.0000 0.2769 0.1587  1 Hf 1.99, 2 Mg 2.11
21 O 0.0000 0.5000 0.3574  5 Mg 2.06-2.12
22 O 0.0000 0.7231 0.1587  1 Hf 1.99, 2 Mg 2.11
23 O 0.0000 0.7457 0.5540  5 Mg 2.07-2.13
24 O 0.5000 0.0000 0.1656  3 Mg 1.95-2.11
25 O 0.5000 0.0000 0.5527  5 Mg 2.04-2.15
26 O 0.5000 0.2507 0.3522  6 Mg 2.06-2.28
27 O 0.5000 0.2545 0.7475  5 Mg 2.07-2.28
28 O 0.5000 0.5000 0.1502  2 Hf 2.14, 3 Mg 2.26-2.34
29 O 0.5000 0.5000 0.5382  5 Mg 2.04-2.13
30 O 0.5000 0.7455 0.7475  5 Mg 2.07-2.28
31 O 0.5000 0.7493 0.3522  6 Mg 2.06-2.28

***

Entry 6:
Computed, not measured: a relaxed structure of BaGdCuBO5 at the PBE level of DFT.

Values from the calculation:
DFT total energy ... -8.190 eV/atom
Size of the total moment ... 14.0 Bohr magnetons per cell
Energy relative to the elements ... -2.848 eV per atom

Cell: 5.5128 5.5128 7.5415 Å, 90.00 90.00 90.00°
With the nearest neighbours (Å) after each atom.
Fractional coordinates of all 18 atoms:
1 Ba 0.0000 0.0000 0.0000  8 O 2.79-2.98
2 Ba 0.5000 0.5000 0.0000  8 O 2.79-2.98
3 Gd 0.0000 0.0000 0.5039  8 O 2.46
4 Gd 0.5000 0.5000 0.5039  8 O 2.46
5 Cu 0.0000 0.5000 0.7220  4 O 1.93-1.98
6 Cu 0.5000 0.0000 0.7220  4 O 1.93-1.98
7 B 0.0000 0.5000 0.2414  3 O 1.39-1.40
8 B 0.5000 0.0000 0.2414  3 O 1.39-1.40
9 O 0.0000 0.5000 0.0562  1 B 1.40
10 O 0.1575 0.3425 0.3292  1 B 1.39
11 O 0.2473 0.7473 0.7018  2 Cu 1.93-1.98
12 O 0.2527 0.2473 0.7018  2 Cu 1.93-1.98
13 O 0.3425 0.8425 0.3292  1 B 1.39
14 O 0.5000 0.0000 0.0562  1 B 1.40
15 O 0.6575 0.1575 0.3292  1 B 1.39
16 O 0.7473 0.7527 0.7018  2 Cu 1.93-1.98
17 O 0.7527 0.2527 0.7018  2 Cu 1.93-1.98
18 O 0.8425 0.6575 0.3292  1 B 1.39

***

Entry 7:
Computed, not measured: a relaxed structure of Bi2P3O12 at the PBE level of DFT.

Values from the calculation:
DFT total energy ... -6.571 eV/atom
Size of the total moment ... 0.0 Bohr magnetons per cell
Energy relative to the elements ... -2.151 eV per atom

Cell: 8.7616 9.2478 15.2009 Å, 90.00 124.38 90.00°
With the nearest neighbours (Å) after each atom.
Fractional coordinates of all 68 atoms:
1 Bi 0.1348 0.0335 0.3886  6 O 2.22-2.28
2 Bi 0.1348 0.4665 0.8886  6 O 2.22-2.28
3 Bi 0.3585 0.0362 0.1118  6 O 2.17-2.22
4 Bi 0.3585 0.4638 0.6118  6 O 2.17-2.22
5 Bi 0.6415 0.5362 0.3882  6 O 2.17-2.22
6 Bi 0.6415 0.9638 0.8882  6 O 2.17-2.22
7 Bi 0.8652 0.5335 0.1114  6 O 2.22-2.28
8 Bi 0.8652 0.9665 0.6114  6 O 2.22-2.28
9 P 0.0318 0.6083 0.6477  4 O 1.53-1.57
10 P 0.0318 0.8917 0.1477  4 O 1.53-1.57
11 P 0.2685 0.1228 0.6627  4 O 1.53-1.57
12 P 0.2685 0.3772 0.1627  4 O 1.53-1.57
13 P 0.4484 0.7477 0.4941  4 O 1.53-1.56
14 P 0.4484 0.7523 0.9941  4 O 1.53-1.56
15 P 0.5516 0.2477 0.0059  4 O 1.53-1.56
16 P 0.5516 0.2523 0.5059  4 O 1.53-1.56
17 P 0.7315 0.6228 0.8373  4 O 1.53-1.57
18 P 0.7315 0.8772 0.3373  4 O 1.53-1.57
19 P 0.9682 0.1083 0.8523  4 O 1.53-1.57
20 P 0.9682 0.3917 0.3523  4 O 1.53-1.57
21 O 0.0241 0.7393 0.1862  1 P 1.54
22 O 0.0241 0.7607 0.6862  1 P 1.54
23 O 0.1287 0.5031 0.7423  1 P 1.53
24 O 0.1287 0.9969 0.2423  1 P 1.53
25 O 0.1443 0.0753 0.7001  1 P 1.55
26 O 0.1443 0.4247 0.2001  1 P 1.55
27 O 0.1476 0.6126 0.5983  1 P 1.57
28 O 0.1476 0.8874 0.0983  1 P 1.57
29 O 0.1679 0.0521 0.9366  1 P 1.56
30 O 0.1679 0.4479 0.4366  1 P 1.56
31 O 0.1688 0.1066 0.5420  1 P 1.53
32 O 0.1688 0.3934 0.0420  1 P 1.53
33 O 0.2502 0.6934 0.9428  1 P 1.55
34 O 0.2502 0.8066 0.4428  1 P 1.55
35 O 0.3110 0.2125 0.1916  1 P 1.57
36 O 0.3110 0.2875 0.6916  1 P 1.57
37 O 0.4109 0.1304 0.4460  1 P 1.53
38 O 0.4109 0.3696 0.9460  1 P 1.53
39 O 0.4492 0.0301 0.7206  1 P 1.56
40 O 0.4492 0.4699 0.2206  1 P 1.56
41 O 0.4538 0.6815 0.4014  1 P 1.56
42 O 0.4538 0.8185 0.9014  1 P 1.56
43 O 0.4916 0.6362 0.5823  1 P 1.56
44 O 0.4916 0.8638 0.0823  1 P 1.56
45 O 0.5084 0.1362 0.9177  1 P 1.56
46 O 0.5084 0.3638 0.4177  1 P 1.56
47 O 0.5462 0.1815 0.0986  1 P 1.56
48 O 0.5462 0.3185 0.5986  1 P 1.56
49 O 0.5508 0.5301 0.7794  1 P 1.56
50 O 0.5508 0.9699 0.2794  1 P 1.56
51 O 0.5891 0.6304 0.0540  1 P 1.53
52 O 0.5891 0.8696 0.5540  1 P 1.53
53 O 0.6890 0.7125 0.3084  1 P 1.57
54 O 0.6890 0.7875 0.8084  1 P 1.57
55 O 0.7498 0.1934 0.5572  1 P 1.55
56 O 0.7498 0.3066 0.0572  1 P 1.55
57 O 0.8312 0.6066 0.9580  1 P 1.53
58 O 0.8312 0.8934 0.4580  1 P 1.53
59 O 0.8321 0.5521 0.5634  1 P 1.56
60 O 0.8321 0.9479 0.0634  1 P 1.56
61 O 0.8524 0.1126 0.9017  1 P 1.57
62 O 0.8524 0.3874 0.4017  1 P 1.57
63 O 0.8557 0.5753 0.7999  1 P 1.55
64 O 0.8557 0.9247 0.2999  1 P 1.55
65 O 0.8713 0.0031 0.7577  1 P 1.53
66 O 0.8713 0.4969 0.2577  1 P 1.53
67 O 0.9759 0.2393 0.3138  1 P 1.54
68 O 0.9759 0.2607 0.8138  1 P 1.54

***

Entry 8:
Computed, not measured: a relaxed structure of ZrC at the PBE level of DFT.

Values from the calculation:
DFT total energy ... -9.692 eV/atom
Energy relative to the elements ... -0.804 eV per atom

Cell: 3.3406 3.3406 3.3406 Å, 60.00 60.00 60.00°
With the nearest neighbours (Å) after each atom.
Fractional coordinates of all 2 atoms:
1 Zr 0.0000 0.0000 0.0000  6 C 2.36
2 C 0.5000 0.5000 0.5000  6 Zr 2.36

***

The lowest DFT total energy belongs to which entry? Nb3Ru

***

Among the records above, which one has the lowest energy relative to the elements? BaGdCuBO5